# 1
## Nb6Cr7 (PBE-GGA)

Data for a geometry-optimized Nb6Cr7 structure.

Cell and atoms, written as POSCAR:
```
Nb6Cr7
1.0
2.458 1.419 9.246
-2.458 1.419 9.246
0.000 -2.839 9.246
Nb Cr
6 7
Direct
0.047 0.047 0.047
0.149 0.149 0.149
0.333 0.333 0.333
0.667 0.667 0.667
0.851 0.851 0.851
0.953 0.953 0.953
0.090 0.595 0.595
0.405 0.405 0.910
0.405 0.910 0.405
0.500 0.500 0.500
0.595 0.090 0.595
0.595 0.595 0.090
0.910 0.405 0.405
```

Properties
- size of the total moment (μB per cell) = 0.0
- raw total energy (hartree per atom) = -0.362
- space group = No. 166


# 2
## NbCrNi (PBE-GGA)

Data for a geometry-optimized NbCrNi structure.

Cell and atoms, written as POSCAR:
```
NbCrNi
1.0
7.885 0.000 0.000
0.000 2.397 4.292
0.000 -2.397 4.292
Nb Cr Ni
4 4 4
Direct
0.189 0.000 0.000
0.310 0.674 0.674
0.690 0.674 0.674
0.811 0.000 0.000
0.000 0.004 0.503
0.000 0.503 0.004
0.249 0.336 0.336
0.751 0.336 0.336
0.000 0.511 0.511
0.500 0.168 0.168
0.500 0.168 0.673
0.500 0.673 0.168
```

Properties
- size of the total moment (μB per cell) = 0.0
- raw total energy (hartree per atom) = -0.316
- space group = No. 38